(1)
This record from Materials Project describes a relaxed Cu4OF6 crystal. The functional is PBE.

a = 5.5174 Å, b = 7.3006 Å, c = 7.3150 Å
α = 116.76°, β = 95.13°, γ = 94.43°
With the nearest neighbours (Å) after each atom.
Fractional positions:
1 Cu 0.0000 0.0000 0.0000  4 F 1.90-2.09, 1 O 1.92
2 Cu 0.0158 0.5316 0.0855  2 F 1.88-2.05, 1 O 1.91
3 Cu 0.0397 0.5038 0.4563  3 F 1.89-2.06, 1 O 1.98
4 Cu 0.0746 0.9815 0.4397  1 O 1.94, 3 F 1.94-2.08
5 Cu 0.4963 0.6753 0.3162  4 F 1.90-2.08, 1 O 1.92
6 Cu 0.5177 0.7754 0.8315  2 F 1.88-2.08, 1 O 1.90
7 Cu 0.5398 0.1525 0.8297  3 F 1.90-2.07, 1 O 1.97
8 Cu 0.5725 0.1198 0.2957  3 F 1.93-2.09, 1 O 1.95
9 O 0.1617 0.7059 0.3638  4 Cu 1.91-1.98
10 O 0.6635 0.0484 0.0220  4 Cu 1.90-1.97
11 F 0.1605 0.2748 0.1642  1 Cu 1.90
12 F 0.2379 0.9702 0.7836  2 Cu 1.95-2.09
13 F 0.2784 0.9278 0.1510  2 Cu 1.93-2.05
14 F 0.3374 0.5301 0.6210  2 Cu 1.88-1.89
15 F 0.3697 0.5256 0.0203  2 Cu 1.96-2.05
16 F 0.4092 0.1441 0.5516  3 Cu 2.00-2.09
17 F 0.6530 0.8404 0.5930  1 Cu 1.90
18 F 0.7333 0.4640 0.2856  2 Cu 1.93-2.05
19 F 0.7757 0.8338 0.2498  2 Cu 1.94-2.08
20 F 0.8432 0.3051 0.8476  2 Cu 1.88-1.90
21 F 0.8727 0.7047 0.8545  2 Cu 1.96-2.08
22 F 0.9067 0.2347 0.4600  3 Cu 2.00-2.08

Symmetry = P1
Magnetization = 0.18 μB per atom
ΔE to the lowest computed polymorph = 0.017 eV per atom
ΔH_f (0 K) = -1.5619 eV per atom
Crystal system = triclinic
MP2020-corrected energy = -4.55 eV per atom
Calculated density = 4912 kg/m3

(2)
This record from Materials Project describes a relaxed Nb3Cr3N crystal. The functional is PBE.

a = 8.1333 Å, b = 8.1333 Å, c = 8.1333 Å
α = 60.00°, β = 60.00°, γ = 60.00°
With the nearest neighbours (Å) after each atom.
Fractional positions:
1 Nb 0.0682 0.0682 0.6818  2 N 2.18
2 Nb 0.0682 0.6818 0.0682  2 N 2.18
3 Nb 0.0682 0.6818 0.6818  2 N 2.18
4 Nb 0.3182 0.3182 0.9318  2 N 2.18
5 Nb 0.3182 0.9318 0.3182  2 N 2.18
6 Nb 0.3182 0.9318 0.9318  2 N 2.18
7 Nb 0.6818 0.0682 0.0682  2 N 2.18
8 Nb 0.6818 0.0682 0.6818  2 N 2.18
9 Nb 0.6818 0.6818 0.0682  2 N 2.18
10 Nb 0.9318 0.3182 0.3182  2 N 2.18
11 Nb 0.9318 0.3182 0.9318  2 N 2.18
12 Nb 0.9318 0.9318 0.3182  2 N 2.18
13 Cr 0.0000 0.5000 0.5000  6 Cr 2.46
14 Cr 0.2969 0.2969 0.2969  6 Cr 2.46-2.54
15 Cr 0.2969 0.2969 0.6094  6 Cr 2.46-2.54
16 Cr 0.2969 0.6094 0.2969  6 Cr 2.46-2.54
17 Cr 0.3906 0.7031 0.7031  6 Cr 2.46-2.54
18 Cr 0.5000 0.0000 0.5000  6 Cr 2.46
19 Cr 0.5000 0.5000 0.0000  6 Cr 2.46
20 Cr 0.5000 0.5000 0.5000  6 Cr 2.46
21 Cr 0.6094 0.2969 0.2969  6 Cr 2.46-2.54
22 Cr 0.7031 0.3906 0.7031  6 Cr 2.46-2.54
23 Cr 0.7031 0.7031 0.3906  6 Cr 2.46-2.54
24 Cr 0.7031 0.7031 0.7031  6 Cr 2.46-2.54
25 N 0.0000 0.0000 0.0000  6 Nb 2.18
26 N 0.0000 0.0000 0.5000  6 Nb 2.18
27 N 0.0000 0.5000 0.0000  6 Nb 2.18
28 N 0.5000 0.0000 0.0000  6 Nb 2.18

Symmetry = Fd-3m
Magnetization = 0.00 μB per atom
ΔH_f (0 K) = -0.4238 eV per atom
Crystal system = cubic
MP2020-corrected energy = -10.08 eV per atom
Calculated density = 7834 kg/m3

> calculated density of number 2 (Nb3Cr3N)?

7834 kg/m3

> What is the formula in the first record?

Cu4OF6

> Which value of calculated density does entry 1 give?

4912 kg/m3